{"formula": "SrGaBO4", "functional": "GGA-PBE", "state": "optimized geometry", "cell": [[5.983, 0.000, 0.000], [0.000, 9.120, 0.000], [0.000, 0.000, 15.555]], "species": ["O", "O", "O", "O", "O", "O", "O", "O", "O", "O", "O", "O", "O", "O", "O", "O", "O", "O", "O", "O", "O", "O", "O", "O", "O", "O", "O", "O", "O", "O", "O", "O", "Ga", "Ga", "Ga", "Ga", "Ga", "Ga", "Ga", "Ga", "Sr", "Sr", "Sr", "Sr", "Sr", "Sr", "Sr", "Sr", "B", "B", "B", "B", "B", "B", "B", "B"], "frac_coords": [[0.003, 0.469, 0.401], [0.504, 0.154, 0.354], [0.700, 0.358, 0.098], [0.997, 0.377, 0.892], [0.504, 0.846, 0.646], [0.496, 0.346, 0.854], [0.501, 0.340, 0.534], [0.003, 0.531, 0.599], [0.205, 0.993, 0.229], [0.706, 0.141, 0.595], [0.499, 0.160, 0.034], [0.205, 0.007, 0.771], [0.795, 0.507, 0.729], [0.294, 0.641, 0.905], [0.300, 0.142, 0.598], [0.003, 0.877, 0.608], [0.700, 0.642, 0.902], [0.203, 0.482, 0.269], [0.795, 0.493, 0.271], [0.294, 0.359, 0.095], [0.797, 0.982, 0.231], [0.997, 0.031, 0.901], [0.797, 0.018, 0.769], [0.203, 0.518, 0.731], [0.499, 0.840, 0.966], [0.997, 0.623, 0.108], [0.300, 0.858, 0.402], [0.003, 0.123, 0.392], [0.706, 0.859, 0.405], [0.496, 0.654, 0.146], [0.501, 0.660, 0.466], [0.997, 0.969, 0.099], [0.247, 0.464, 0.846], [0.747, 0.462, 0.846], [0.253, 0.962, 0.654], [0.753, 0.036, 0.346], [0.753, 0.964, 0.654], [0.247, 0.536, 0.154], [0.747, 0.538, 0.154], [0.253, 0.038, 0.346], [0.503, 0.574, 0.621], [0.503, 0.426, 0.379], [0.497, 0.926, 0.121], [0.497, 0.074, 0.879], [0.003, 0.713, 0.479], [0.997, 0.213, 0.021], [0.997, 0.787, 0.979], [0.003, 0.287, 0.521], [0.502, 0.793, 0.424], [0.498, 0.293, 0.076], [0.000, 0.480, 0.313], [0.000, 0.020, 0.813], [0.502, 0.207, 0.576], [0.498, 0.707, 0.924], [0.000, 0.520, 0.687], [0.000, 0.980, 0.187]], "total_energy_ev_per_cell": -389.97, "space_group": "P2_12_12 (18)", "energy_corrected_mp2020_ev_per_atom": -7.36, "magmom_total_mub_per_atom": 0.0000, "ef_ev_per_fu": -20.3}